Crystalline Tl3AsS4 at its relaxed geometry, computed with r²SCAN.

abc: 9.0620 9.2278 10.9577
angles: 90.00 90.00 90.00
Fractional positions:
Tl: 0.9305 0.1951 0.4484
Tl: 0.4305 0.3049 0.0516
Tl: 0.5695 0.6951 0.5516
Tl: 0.0695 0.8049 0.9484
Tl: 0.0695 0.8049 0.5516
Tl: 0.5695 0.6951 0.9484
Tl: 0.4305 0.3049 0.4484
Tl: 0.9305 0.1951 0.0516
Tl: 0.3958 0.1067 0.7500
Tl: 0.8958 0.3933 0.7500
Tl: 0.1042 0.6067 0.2500
Tl: 0.6042 0.8933 0.2500
As: 0.2813 0.5269 0.7500
As: 0.2187 0.0269 0.2500
As: 0.7813 0.9731 0.7500
As: 0.7187 0.4731 0.2500
S: 0.9996 0.9322 0.2500
S: 0.5004 0.4322 0.7500
S: 0.4996 0.5678 0.2500
S: 0.0004 0.0678 0.7500
S: 0.8423 0.5337 0.4118
S: 0.3423 0.9663 0.0882
S: 0.6577 0.0337 0.5882
S: 0.1577 0.4663 0.9118
S: 0.1577 0.4663 0.5882
S: 0.6577 0.0337 0.9118
S: 0.3423 0.9663 0.4118
S: 0.8423 0.5337 0.0882
S: 0.6913 0.2370 0.2500
S: 0.1913 0.2630 0.2500
S: 0.8087 0.7370 0.7500
S: 0.3087 0.7630 0.7500

Computed properties:
For the formation energy, the calculation gives -0.377 eV/atom. The calculation puts the energy at -26.17 eV/atom.